The following is a r2SCAN calculation of an optimized crystal structure of Th2CN, from the Materials Project.

```
12
Lattice="3.745 0.000 0.000 -1.872 3.243 0.000 0.000 0.000 18.188" Properties=species:S:1:pos:R:3 pbc="T T T"
Th 0.000 0.000 4.553
Th 0.000 0.000 13.635
Th 0.000 2.162 7.572
Th 0.000 2.162 16.679
Th 1.872 1.081 1.510
Th 1.872 1.081 10.616
C 0.000 0.000 9.094
C 0.000 2.162 3.031
C 1.872 1.081 15.157
N 0.000 0.000 0.000
N 0.000 2.162 12.126
N 1.872 1.081 6.063
```

Values from the calculation:
- symmetry = R-3m, No. 166
- crystal system = trigonal

=====

The following is a r2SCAN calculation of an optimized crystal structure of Ti5CN4, from the Materials Project.

```
10
Lattice="1.506 0.870 12.289 -1.506 0.870 12.289 0.000 -1.739 12.289" Properties=species:S:1:pos:R:3 pbc="T T T"
Ti 0.000 0.000 0.000
Ti 0.000 0.000 7.366
Ti 0.000 0.000 14.727
Ti 0.000 0.000 22.139
Ti 0.000 0.000 29.500
C 0.000 0.000 18.433
N 0.000 0.000 3.647
N 0.000 0.000 11.065
N 0.000 0.000 25.801
N 0.000 0.000 33.219
```

Values from the calculation:
- symmetry = R-3m, No. 166
- crystal system = trigonal

=====

The following is a r2SCAN calculation of an optimized crystal structure of Ti4C3N, from the Materials Project.

```
8
Lattice="1.523 0.880 9.952 -1.523 0.880 9.952 0.000 -1.759 9.952" Properties=species:S:1:pos:R:3 pbc="T T T"
Ti 0.000 0.000 3.705
Ti 0.000 0.000 11.184
Ti 0.000 0.000 18.672
Ti 0.000 0.000 26.150
C 0.000 0.000 0.000
C 0.000 0.000 7.426
C 0.000 0.000 22.429
N 0.000 0.000 14.928
```

Values from the calculation:
- symmetry = R-3m, No. 166
- crystal system = trigonal

=====

The following is a r2SCAN calculation of an optimized crystal structure of Na5Ni2P2C2O14, from the Materials Project.

```
25
Lattice="5.049 0.000 0.000 0.000 6.483 0.000 -0.148 0.000 8.782" Properties=species:S:1:pos:R:3 pbc="T T T"
Na 0.000 0.000 0.000
Na 2.276 1.579 7.176
Na 2.276 4.904 7.176
Na 4.945 1.686 2.933
Na 4.945 4.797 2.933
Ni -0.063 3.242 6.422
Ni 2.217 0.000 3.761
P 2.558 3.242 4.380
P 4.626 0.000 5.793
C 2.545 0.000 1.274
C 4.782 3.242 0.023
O -0.053 1.214 6.676
O -0.053 5.269 6.676
O 0.303 0.000 4.458
O 0.738 3.242 8.173
O 1.393 0.000 1.868
O 1.800 3.242 5.712
O 2.236 2.002 3.548
O 2.236 4.481 3.548
O 2.474 0.000 8.777
O 3.099 0.000 5.554
O 3.598 0.000 2.018
O 3.634 3.242 7.980
O 4.095 3.242 4.708
O 4.697 3.242 1.265
```

Values from the calculation:
- symmetry = Pm, No. 6
- crystal system = monoclinic

=====

For each record above, in turn, the calculated energy relative to the elements values are -1131; -1761; -1238; -1973 meV/atom.